Record 1
DFT (PBE) results for a relaxed structure of Ti6H2O13.

ΔE_f = -3.154 eV/atom
E = -0.30761 Ha/atom

The structure in POSCAR format:
```
Ti6H2O13
1.0
7.457 -1.885 0.000
7.457 1.885 0.000
-1.244 0.000 9.302
Ti H O
6 2 13
Direct
0.115 0.115 0.092 Ti
0.166 0.166 0.448 Ti
0.229 0.229 0.773 Ti
0.771 0.771 0.227 Ti
0.834 0.834 0.552 Ti
0.885 0.885 0.908 Ti
0.000 0.000 0.313 H
0.000 0.000 0.687 H
0.000 0.000 0.000 O
0.064 0.064 0.302 O
0.125 0.125 0.618 O
0.170 0.170 0.924 O
0.237 0.237 0.249 O
0.297 0.297 0.566 O
0.358 0.358 0.875 O
0.642 0.642 0.125 O
0.703 0.703 0.434 O
0.763 0.763 0.751 O
0.830 0.830 0.076 O
0.875 0.875 0.382 O
0.936 0.936 0.698 O
```

Record 2
DFT (PBE) results for a relaxed structure of Ti11H7O24.

ΔE_f = -2.830 eV/atom
E = -0.29025 Ha/atom

The structure in POSCAR format:
```
Ti11H7O24
1.0
9.815 0.000 0.000
0.000 3.011 0.000
-0.117 0.000 14.756
Ti H O
11 7 24
Direct
0.000 0.000 0.000 Ti
0.003 0.000 0.322 Ti
0.270 0.500 0.640 Ti
0.288 0.500 0.979 Ti
0.295 0.500 0.304 Ti
0.490 0.000 0.804 Ti
0.512 0.000 0.479 Ti
0.516 0.000 0.140 Ti
0.781 0.500 0.162 Ti
0.804 0.500 0.820 Ti
0.810 0.500 0.498 Ti
0.084 0.000 0.569 H
0.119 0.500 0.456 H
0.154 0.000 0.842 H
0.177 0.500 0.795 H
0.611 0.500 0.340 H
0.618 0.500 0.679 H
0.667 0.000 0.951 H
0.112 0.500 0.045 O
0.115 0.500 0.390 O
0.144 0.500 0.733 O
0.175 0.000 0.908 O
0.186 0.000 0.568 O
0.189 0.000 0.257 O
0.372 0.000 0.042 O
0.378 0.000 0.378 O
0.380 0.000 0.700 O
0.411 0.500 0.872 O
0.427 0.500 0.212 O
0.437 0.500 0.542 O
0.609 0.500 0.081 O
0.610 0.500 0.407 O
0.614 0.500 0.746 O
0.674 0.000 0.884 O
0.682 0.000 0.220 O
0.689 0.000 0.543 O
0.862 0.000 0.762 O
0.864 0.000 0.088 O
0.873 0.000 0.412 O
0.920 0.500 0.923 O
0.930 0.500 0.251 O
0.950 0.500 0.564 O
```

Record 3
DFT (PBE) results for a relaxed structure of Ti3H4O8.

ΔE_f = -2.234 eV/atom
E = -0.25691 Ha/atom

The structure in POSCAR format:
```
Ti3H4O8
1.0
13.153 -1.473 0.000
13.153 1.473 0.000
-4.070 0.000 10.863
Ti H O
6 8 16
Direct
0.125 0.125 0.369 Ti
0.175 0.175 0.959 Ti
0.209 0.209 0.696 Ti
0.791 0.791 0.304 Ti
0.825 0.825 0.041 Ti
0.875 0.875 0.631 Ti
0.017 0.017 0.343 H
0.084 0.084 0.698 H
0.401 0.401 0.022 H
0.457 0.457 0.383 H
0.543 0.543 0.617 H
0.599 0.599 0.978 H
0.916 0.916 0.302 H
0.983 0.983 0.657 H
0.047 0.047 0.634 O
0.055 0.055 0.347 O
0.108 0.108 0.973 O
0.165 0.165 0.538 O
0.165 0.165 0.794 O
0.249 0.249 0.276 O
0.289 0.289 0.963 O
0.357 0.357 0.699 O
0.643 0.643 0.301 O
0.711 0.711 0.037 O
0.751 0.751 0.724 O
0.835 0.835 0.206 O
0.835 0.835 0.462 O
0.892 0.892 0.027 O
0.945 0.945 0.653 O
0.953 0.953 0.366 O
```

Record 4
DFT (PBE) results for a relaxed structure of UH4O6.

ΔE_f = -2.010 eV/atom
E = -0.24233 Ha/atom

The structure in POSCAR format:
```
UH4O6
1.0
8.481 0.000 0.000
0.000 8.874 0.000
0.000 0.000 6.717
U H O
4 16 24
Direct
0.151 0.250 0.248 U
0.349 0.750 0.748 U
0.651 0.250 0.252 U
0.849 0.750 0.752 U
0.128 0.583 0.113 H
0.128 0.917 0.113 H
0.189 0.597 0.337 H
0.189 0.903 0.337 H
0.311 0.097 0.837 H
0.311 0.403 0.837 H
0.372 0.083 0.613 H
0.372 0.417 0.613 H
0.628 0.583 0.387 H
0.628 0.917 0.387 H
0.689 0.597 0.163 H
0.689 0.903 0.163 H
0.811 0.097 0.663 H
0.811 0.403 0.663 H
0.872 0.083 0.887 H
0.872 0.417 0.887 H
0.082 0.250 0.502 O
0.100 0.668 0.879 O
0.100 0.832 0.879 O
0.151 0.525 0.237 O
0.151 0.975 0.237 O
0.226 0.250 0.990 O
0.274 0.750 0.490 O
0.349 0.025 0.737 O
0.349 0.475 0.737 O
0.400 0.168 0.379 O
0.400 0.332 0.379 O
0.418 0.750 0.002 O
0.582 0.250 0.998 O
0.600 0.668 0.621 O
0.600 0.832 0.621 O
0.651 0.525 0.263 O
0.651 0.975 0.263 O
0.726 0.250 0.510 O
0.774 0.750 0.010 O
0.849 0.025 0.763 O
0.849 0.475 0.763 O
0.900 0.168 0.121 O
0.900 0.332 0.121 O
0.918 0.750 0.498 O
```

Record 5
DFT (PBE) results for a relaxed structure of ZnH2O2.

ΔE_f = -1.387 eV/atom
E = -0.17275 Ha/atom
Maximum piezoelectric response = 2.199 C/m²

The structure in POSCAR format:
```
ZnH2O2
1.0
5.528 0.000 0.000
0.000 3.326 0.000
-0.130 0.000 4.578
Zn H O
2 4 4
Direct
0.000 0.000 0.000 Zn
0.500 0.500 0.000 Zn
0.217 0.328 0.431 H
0.283 0.828 0.569 H
0.717 0.828 0.431 H
0.783 0.328 0.569 H
0.197 0.450 0.237 O
0.303 0.950 0.763 O
0.697 0.950 0.237 O
0.803 0.450 0.763 O
```

Record 6
DFT (PBE) results for a relaxed structure of ZnH2O2.

ΔE_f = -1.474 eV/atom
E = -0.17595 Ha/atom
Maximum piezoelectric response = 0.173 C/m²

The structure in POSCAR format:
```
ZnH2O2
1.0
4.963 0.000 0.000
0.000 5.269 0.000
0.000 0.000 8.270
Zn H O
4 8 8
Direct
0.052 0.190 0.131 Zn
0.448 0.810 0.631 Zn
0.552 0.310 0.869 Zn
0.948 0.690 0.369 Zn
0.132 0.091 0.791 H
0.192 0.403 0.586 H
0.308 0.597 0.086 H
0.368 0.909 0.291 H
0.632 0.409 0.209 H
0.692 0.097 0.414 H
0.808 0.903 0.914 H
0.868 0.591 0.709 H
0.141 0.583 0.571 O
0.201 0.879 0.226 O
0.299 0.121 0.726 O
0.359 0.417 0.071 O
0.641 0.917 0.429 O
0.701 0.621 0.774 O
0.799 0.379 0.274 O
0.859 0.083 0.929 O
```

Record 7
DFT (PBE) results for a relaxed structure of Zn6HO6.

ΔE_f = -1.565 eV/atom
E = -0.16073 Ha/atom

The structure in POSCAR format:
```
Zn6HO6
1.0
5.771 0.000 0.000
0.001 6.659 0.000
0.053 0.030 41.603
Zn H O
24 4 24
Direct
0.000 0.000 0.000 Zn
0.000 0.000 0.127 Zn
0.000 0.500 0.127 Zn
0.000 0.501 0.000 Zn
0.004 0.005 0.874 Zn
0.004 0.498 0.874 Zn
0.167 0.250 0.063 Zn
0.167 0.252 0.807 Zn
0.167 0.750 0.063 Zn
0.168 0.251 0.938 Zn
0.168 0.751 0.937 Zn
0.170 0.752 0.817 Zn
0.495 0.252 0.875 Zn
0.500 0.250 0.127 Zn
0.500 0.750 0.000 Zn
0.500 0.750 0.127 Zn
0.501 0.250 0.000 Zn
0.503 0.752 0.875 Zn
0.667 0.000 0.063 Zn
0.667 0.500 0.063 Zn
0.669 0.002 0.937 Zn
0.669 0.501 0.937 Zn
0.670 0.006 0.817 Zn
0.670 0.498 0.817 Zn
0.169 0.250 0.170 H
0.169 0.750 0.170 H
0.664 0.000 0.170 H
0.664 0.500 0.170 H
0.000 0.000 0.080 O
0.000 0.500 0.080 O
0.001 0.000 0.951 O
0.001 0.502 0.951 O
0.005 0.005 0.823 O
0.005 0.498 0.823 O
0.167 0.250 0.015 O
0.167 0.250 0.146 O
0.167 0.252 0.889 O
0.167 0.750 0.015 O
0.167 0.750 0.146 O
0.168 0.752 0.887 O
0.492 0.252 0.824 O
0.500 0.250 0.080 O
0.500 0.750 0.080 O
0.502 0.751 0.951 O
0.503 0.251 0.951 O
0.505 0.752 0.824 O
0.666 0.000 0.146 O
0.666 0.500 0.146 O
0.667 0.000 0.015 O
0.667 0.501 0.015 O
0.669 0.003 0.887 O
0.669 0.500 0.887 O
```

Record 8
DFT (PBE) results for a relaxed structure of ZnH2O2.

ΔE_f = -1.486 eV/atom
E = -0.17637 Ha/atom
Maximum piezoelectric response = 0.213 C/m²

The structure in POSCAR format:
```
ZnH2O2
1.0
4.799 0.000 0.000
0.000 8.805 0.000
-0.033 0.000 5.056
Zn H O
4 8 8
Direct
0.180 0.000 0.140 Zn
0.314 0.748 0.645 Zn
0.686 0.248 0.355 Zn
0.820 0.500 0.860 Zn
0.019 0.464 0.327 H
0.222 0.276 0.127 H
0.286 0.471 0.638 H
0.495 0.280 0.821 H
0.505 0.780 0.179 H
0.714 0.971 0.362 H
0.778 0.776 0.873 H
0.981 0.964 0.673 H
0.050 0.894 0.817 O
0.131 0.547 0.608 O
0.374 0.199 0.100 O
0.438 0.852 0.319 O
0.562 0.352 0.681 O
0.626 0.699 0.900 O
0.869 0.047 0.392 O
0.950 0.394 0.183 O
```

Q: Which value of ΔE_f does entry 8 give?
A: -1.486 eV/atom